A plane-wave DFT calculation with PBE+U was carried out for Li3MnCoO5 after structural relaxation.

Magnetic moment ... 7.00 μB per formula unit
Uncorrected energy ... -5.870 eV/atom
ΔH_f (0 K) ... -18.707 eV per formula unit
Excess energy over the best structure of this formula in the dataset ... 0.089 eV/atom

The structure in CIF format:
```
data_Li3MnCoO5
_chemical_formula_sum 'Li6 Mn2 Co2 O10'
_cell_length_a 3.035
_cell_length_b 6.027
_cell_length_c 10.216
_cell_angle_alpha 97.30
_cell_angle_beta 97.00
_cell_angle_gamma 95.07
_space_group_name_H-M_alt 'P -1'
_space_group_IT_number 2
_space_group_name_Hall '-P 1'
loop_
_atom_site_label
_atom_site_fract_x
_atom_site_fract_y
_atom_site_fract_z
_atom_site_occupancy
Li1 0.000 0.000 0.000 1
Li2 0.000 0.500 0.000 1
Li3 0.197 0.098 0.397 1
Li4 0.404 0.707 0.804 1
Mn1 0.197 0.602 0.397 1
Co1 0.408 0.189 0.809 1
O1 0.079 0.030 0.199 1
O2 0.127 0.565 0.205 1
O3 0.273 0.641 0.593 1
O4 0.329 0.161 0.616 1
O5 0.486 0.248 0.982 1
```